Material: Nd3CuSnSe7
Method: DFT, meta-GGA r2SCAN
State: relaxed

Results
The value obtained for the total energy is -20.209 eV/atom. The space group is P6_3 (173). The value obtained for the energy relative to the elements is -1.5401 eV per atom.

abc: 10.595 10.595 6.346
angles: 90.00 90.00 120.00
Atoms (fractional coordinates):
Se  0.898  0.154  0.996
Se  0.515  0.430  0.710
Se  0.154  0.256  0.496
Se  0.085  0.515  0.210
Se  0.485  0.570  0.210
Se  0.744  0.898  0.496
Se  0.846  0.744  0.996
Se  0.570  0.085  0.710
Se  0.430  0.915  0.210
Se  0.102  0.846  0.496
Se  0.667  0.333  0.274
Se  0.333  0.667  0.774
Se  0.256  0.102  0.996
Se  0.915  0.485  0.710
Sn  0.333  0.667  0.381
Sn  0.667  0.333  0.881
Cu  0.000  0.000  0.008
Cu  0.000  0.000  0.508
Nd  0.782  0.644  0.458
Nd  0.356  0.138  0.458
Nd  0.218  0.356  0.958
Nd  0.138  0.782  0.958
Nd  0.644  0.862  0.958
Nd  0.862  0.218  0.458

Material: Pm2NiGe
Method: DFT, meta-GGA r2SCAN
State: relaxed

Results
The value obtained for the total energy is -21.713 eV/atom. The space group is Fm-3m (225). The value obtained for the energy relative to the elements is -0.4792 eV per atom.

abc: 5.040 5.040 5.040
angles: 60.00 60.00 60.00
Atoms (fractional coordinates):
Ni  0.000  0.000  0.000
Ge  0.500  0.500  0.500
Pm  0.750  0.750  0.750
Pm  0.250  0.250  0.250

Material: CeGaNi4
Method: DFT, meta-GGA r2SCAN
State: relaxed

Results
The value obtained for the total energy is -15.478 eV/atom. The space group is Cmmm (65). The value obtained for the energy relative to the elements is -0.4428 eV per atom.

abc: 4.831 4.831 4.055
angles: 90.00 90.00 117.76
Atoms (fractional coordinates):
Ce  0.000  0.000  0.000
Ga  0.500  0.500  0.500
Ni  0.672  0.328  0.000
Ni  0.328  0.672  0.000
Ni  0.500  0.000  0.500
Ni  0.000  0.500  0.500